Entry from the Materials Project database: Ce2MgS4 after structural relaxation (PBE).

Output
space group = I-42d
E = -84.60 eV per cell

a b c (Å): 7.325 7.325 7.325
angles (deg): 111.33 111.33 105.82
Sites, in units of the cell vectors:
Ce (0.004, 0.625, 0.879)
Ce (0.375, 0.254, 0.379)
Ce (0.746, 0.125, 0.121)
Ce (0.875, 0.996, 0.621)
Mg (0.250, 0.750, 0.500)
Mg (0.500, 0.500, 0.000)
S (0.004, 0.877, 0.268)
S (0.123, 0.391, 0.127)
S (0.141, 0.373, 0.627)
S (0.263, 0.996, 0.873)
S (0.487, 0.859, 0.232)
S (0.609, 0.737, 0.732)
S (0.627, 0.254, 0.768)
S (0.746, 0.513, 0.373)



Entry from the Materials Project database: CeMgS3 after structural relaxation (PBE).

Output
space group = C2/m
E = -53.32 eV per cell

a b c (Å): 6.684 6.684 6.822
angles (deg): 106.46 106.46 109.64
Sites, in units of the cell vectors:
Ce (0.195, 0.195, 0.263)
Ce (0.805, 0.805, 0.737)
Mg (0.326, 0.674, 0.000)
Mg (0.674, 0.326, 0.000)
S (0.056, 0.752, 0.176)
S (0.248, 0.944, 0.824)
S (0.444, 0.444, 0.715)
S (0.556, 0.556, 0.285)
S (0.752, 0.056, 0.176)
S (0.944, 0.248, 0.824)



Entry from the Materials Project database: CeMg6Sb after structural relaxation (PBE).

Output
space group = Amm2
E = -20.26 eV per cell

a b c (Å): 5.077 6.685 6.685
angles (deg): 61.00 90.00 90.00
Sites, in units of the cell vectors:
Ce (0.000, 0.000, 0.000)
Mg (0.000, 0.008, 0.491)
Mg (0.000, 0.491, 0.008)
Mg (0.000, 0.511, 0.511)
Mg (0.500, 0.340, 0.340)
Mg (0.500, 0.366, 0.827)
Mg (0.500, 0.827, 0.366)
Sb (0.500, 0.833, 0.833)



Entry from the Materials Project database: CeMg6Sb after structural relaxation (PBE).

Output
E = -40.82 eV per cell

a b c (Å): 5.275 6.310 11.915
angles (deg): 90.00 90.00 90.00
Sites, in units of the cell vectors:
Mg (0.000, 0.751, 0.074)
Mg (0.000, 0.000, 0.832)
Mg (0.500, 0.752, 0.421)
Mg (0.500, 0.748, 0.921)
Mg (0.000, 0.249, 0.074)
Mg (0.000, 0.500, 0.332)
Mg (0.000, 0.251, 0.574)
Mg (0.500, 0.248, 0.421)
Mg (0.500, 0.252, 0.921)
Mg (0.000, 0.749, 0.574)
Mg (0.000, 0.500, 0.838)
Mg (0.000, 0.000, 0.338)
Ce (0.500, 0.000, 0.174)
Ce (0.500, 0.500, 0.674)
Sb (0.500, 0.500, 0.167)
Sb (0.500, 0.000, 0.667)



Entry from the Materials Project database: CeMg6Si after structural relaxation (PBE).

Output
space group = Amm2
E = -20.66 eV per cell

a b c (Å): 4.939 6.620 6.620
angles (deg): 59.38 90.00 90.00
Sites, in units of the cell vectors:
Ce (0.000, 0.000, 0.000)
Mg (0.000, 0.005, 0.512)
Mg (0.000, 0.512, 0.005)
Mg (0.000, 0.517, 0.517)
Mg (0.500, 0.350, 0.350)
Mg (0.500, 0.371, 0.840)
Mg (0.500, 0.840, 0.371)
Si (0.500, 0.852, 0.852)



Entry from the Materials Project database: Ce6Mg23Si after structural relaxation (PBE).

Output
space group = Fm-3m
E = -79.83 eV per cell

a b c (Å): 10.232 10.232 10.232
angles (deg): 60.00 60.00 60.00
Sites, in units of the cell vectors:
Ce (0.204, 0.204, 0.796)
Ce (0.204, 0.796, 0.204)
Ce (0.204, 0.796, 0.796)
Ce (0.796, 0.204, 0.204)
Ce (0.796, 0.204, 0.796)
Ce (0.796, 0.796, 0.204)
Mg (0.000, 0.000, 0.500)
Mg (0.000, 0.500, 0.000)
Mg (0.000, 0.500, 0.500)
Mg (0.137, 0.621, 0.621)
Mg (0.171, 0.171, 0.171)
Mg (0.171, 0.171, 0.487)
Mg (0.171, 0.487, 0.171)
Mg (0.379, 0.379, 0.379)
Mg (0.379, 0.379, 0.863)
Mg (0.379, 0.863, 0.379)
Mg (0.487, 0.171, 0.171)
Mg (0.500, 0.000, 0.000)
Mg (0.500, 0.000, 0.500)
Mg (0.500, 0.500, 0.000)
Mg (0.500, 0.500, 0.500)
Mg (0.513, 0.829, 0.829)
Mg (0.621, 0.137, 0.621)
Mg (0.621, 0.621, 0.137)
Mg (0.621, 0.621, 0.621)
Mg (0.829, 0.513, 0.829)
Mg (0.829, 0.829, 0.513)
Mg (0.829, 0.829, 0.829)
Mg (0.863, 0.379, 0.379)
Si (0.000, 0.000, 0.000)